<w>
{
  "formula": "Rb4MgSe4O14",
  "functional": "PBE",
  "state": "optimized geometry",
  "vol_a3_per_atom": 19.3,
  "magnetic_moment_mub_per_cell": 0.000,
  "cell": [[7.703, 0.000, 0.000], [-3.452, 7.074, 0.000], [-0.065, -0.560, 8.163]],
  "species": ["Rb", "Rb", "Rb", "Rb", "Mg", "Se", "Se", "Se", "Se", "O", "O", "O", "O", "O", "O", "O", "O", "O", "O", "O", "O", "O", "O"],
  "fractional_positions": [[0.000, 0.000, 0.000], [0.009, 0.728, 0.473], [0.441, 0.349, 0.356], [0.504, 0.846, 0.642], [0.287, 0.574, 0.026], [0.494, 0.344, 0.799], [0.515, 0.917, 0.179], [0.889, 0.490, 0.013], [0.966, 0.194, 0.522], [0.003, 0.372, 0.089], [0.029, 0.103, 0.354], [0.056, 0.644, 0.898], [0.156, 0.396, 0.592], [0.360, 0.015, 0.175], [0.372, 0.372, 0.957], [0.372, 0.695, 0.258], [0.376, 0.139, 0.698], [0.506, 0.820, 0.978], [0.607, 0.534, 0.698], [0.692, 0.304, 0.893], [0.774, 0.235, 0.484], [0.793, 0.586, 0.144], [0.906, 0.027, 0.660]]
}



<x>
{
  "formula": "Rb4MgSe4O14",
  "functional": "PBE",
  "state": "optimized geometry",
  "vol_a3_per_atom": 19.8,
  "magnetic_moment_mub_per_cell": 0.000,
  "cell": [[7.617, -4.087, 0.000], [7.617, 4.087, 0.000], [-1.351, 0.000, 7.313]],
  "species": ["Rb", "Rb", "Rb", "Rb", "Mg", "Se", "Se", "Se", "Se", "O", "O", "O", "O", "O", "O", "O", "O", "O", "O", "O", "O", "O", "O"],
  "fractional_positions": [[0.144, 0.144, 0.450], [0.296, 0.362, 0.083], [0.638, 0.704, 0.917], [0.856, 0.856, 0.550], [0.789, 0.211, 0.000], [0.156, 0.036, 0.898], [0.431, 0.404, 0.619], [0.596, 0.569, 0.381], [0.964, 0.844, 0.102], [0.026, 0.220, 0.059], [0.164, 0.836, 0.000], [0.214, 0.502, 0.661], [0.310, 0.078, 0.831], [0.412, 0.588, 0.500], [0.498, 0.786, 0.339], [0.507, 0.218, 0.472], [0.570, 0.384, 0.809], [0.616, 0.430, 0.191], [0.780, 0.974, 0.941], [0.782, 0.493, 0.528], [0.910, 0.021, 0.268], [0.922, 0.690, 0.169], [0.979, 0.090, 0.732]]
}



<y>
{
  "formula": "Rb4MgSe4O14",
  "functional": "PBE",
  "state": "optimized geometry",
  "vol_a3_per_atom": 20.6,
  "magnetic_moment_mub_per_cell": 0.001,
  "cell": [[7.955, 0.000, 0.000], [-3.305, 7.279, 0.000], [-0.081, -0.364, 8.170]],
  "species": ["Rb", "Rb", "Rb", "Rb", "Mg", "Se", "Se", "Se", "Se", "O", "O", "O", "O", "O", "O", "O", "O", "O", "O", "O", "O", "O", "O"],
  "fractional_positions": [[0.000, 0.000, 0.000], [0.019, 0.487, 0.247], [0.239, 0.937, 0.566], [0.498, 0.543, 0.793], [0.613, 0.776, 0.277], [0.460, 0.009, 0.075], [0.501, 0.399, 0.315], [0.791, 0.025, 0.535], [0.973, 0.457, 0.782], [0.075, 0.368, 0.911], [0.116, 0.556, 0.632], [0.288, 0.918, 0.204], [0.383, 0.044, 0.898], [0.390, 0.518, 0.224], [0.408, 0.324, 0.495], [0.564, 0.872, 0.499], [0.574, 0.869, 0.057], [0.624, 0.209, 0.160], [0.713, 0.581, 0.341], [0.772, 0.289, 0.698], [0.872, 0.997, 0.343], [0.883, 0.936, 0.673], [0.903, 0.600, 0.885]]
}



Going by the computed energies, the most stable comes first: <w>, <y>, <x>.